First-principles (PBE) data for a relaxed structure of CrFeAs, as listed in Materials Project.

Calculated values
SG: P-62m, No. 189
Energy of formation (kJ per mole of atoms): -9.38
Magnetic moment (μB per formula unit): 2.07

Unit cell a=3.684 b=6.069 c=6.069 alpha=120.00 beta=90.00 gamma=90.00
Fractional coordinates of all 9 atoms:
1 Cr 0.000 0.413 0.413
2 Cr 0.000 0.000 0.587
3 Cr 0.000 0.587 0.000
4 Fe 0.500 0.000 0.247
5 Fe 0.500 0.247 0.000
6 Fe 0.500 0.753 0.753
7 As 0.000 0.000 0.000
8 As 0.500 0.333 0.667
9 As 0.500 0.667 0.333

***

First-principles (PBE) data for a relaxed structure of Ce3TaCl6O4, as listed in Materials Project.

Calculated values
SG: P6_3/m, No. 176
Energy of formation (kJ per mole of atoms): -271.70
Magnetic moment (μB per formula unit): 3.00

Unit cell a=3.962 b=12.980 c=12.980 alpha=120.00 beta=90.00 gamma=90.00
Fractional coordinates of all 28 atoms:
1 Cl 0.250 0.857 0.751
2 Cl 0.250 0.069 0.628
3 Cl 0.750 0.106 0.857
4 Cl 0.750 0.751 0.894
5 Cl 0.750 0.143 0.249
6 Cl 0.750 0.441 0.069
7 Cl 0.250 0.559 0.931
8 Cl 0.750 0.628 0.559
9 Cl 0.250 0.894 0.143
10 Cl 0.250 0.249 0.106
11 Cl 0.250 0.372 0.441
12 Cl 0.750 0.931 0.372
13 Ce 0.250 0.281 0.885
14 Ce 0.750 0.885 0.604
15 Ce 0.750 0.719 0.115
16 Ce 0.250 0.604 0.719
17 Ce 0.750 0.396 0.281
18 Ce 0.250 0.115 0.396
19 Ta 0.250 0.667 0.333
20 Ta 0.750 0.333 0.667
21 O 0.250 0.508 0.308
22 O 0.250 0.692 0.201
23 O 0.250 0.333 0.667
24 O 0.750 0.201 0.508
25 O 0.250 0.799 0.492
26 O 0.750 0.492 0.692
27 O 0.750 0.667 0.333
28 O 0.750 0.308 0.799

***

First-principles (PBE) data for a relaxed structure of Na3MgGaSiS2O12, as listed in Materials Project.

Calculated values
SG: Cc, No. 9
Energy of formation (kJ per mole of atoms): -226.38
Magnetic moment (μB per formula unit): 0.00

Unit cell a=8.947 b=8.911 c=21.938 alpha=90.55 beta=90.00 gamma=120.14
Fractional coordinates of all 120 atoms:
1 O 0.493 0.372 0.412
2 O 0.522 0.668 0.967
3 O 0.311 0.814 0.253
4 O 0.785 0.960 0.691
5 O 0.353 0.490 0.077
6 O 0.174 0.960 0.191
7 O 0.642 0.115 0.138
8 O 0.694 0.538 0.244
9 O 0.341 0.495 0.363
10 O 0.845 0.821 0.585
11 O 0.138 0.458 0.974
12 O 0.804 0.790 0.308
13 O 0.840 0.032 0.091
14 O 0.467 0.348 0.139
15 O 0.024 0.205 0.911
16 O 0.525 0.684 0.256
17 O 0.199 0.180 0.800
18 O 0.981 0.180 0.300
19 O 0.503 0.814 0.753
20 O 0.856 0.319 0.246
21 O 0.986 0.790 0.808
22 O 0.853 0.295 0.529
23 O 0.137 0.490 0.577
24 O 0.494 0.161 0.246
25 O 0.309 0.859 0.979
26 O 0.825 0.990 0.411
27 O 0.648 0.508 0.644
28 O 0.299 0.467 0.753
29 O 0.442 0.295 0.029
30 O 0.021 0.210 0.189
31 O 0.781 0.823 0.198
32 O 0.331 0.857 0.578
33 O 0.043 0.823 0.698
34 O 0.550 0.859 0.479
35 O 0.526 0.857 0.078
36 O 0.463 0.319 0.746
37 O 0.154 0.495 0.863
38 O 0.442 0.142 0.529
39 O 0.472 0.115 0.638
40 O 0.512 0.894 0.359
41 O 0.527 0.169 0.927
42 O 0.205 0.010 0.314
43 O 0.992 0.179 0.587
44 O 0.859 0.506 0.418
45 O 0.165 0.990 0.911
46 O 0.146 0.645 0.081
47 O 0.187 0.179 0.087
48 O 0.528 0.639 0.856
49 O 0.839 0.525 0.020
50 O 0.879 0.372 0.912
51 O 0.382 0.894 0.859
52 O 0.192 0.032 0.591
53 O 0.320 0.458 0.474
54 O 0.111 0.639 0.356
55 O 0.189 0.210 0.689
56 O 0.499 0.645 0.581
57 O 0.699 0.142 0.029
58 O 0.805 0.010 0.814
59 O 0.146 0.668 0.467
60 O 0.168 0.467 0.253
61 O 0.882 0.348 0.639
62 O 0.976 0.821 0.085
63 O 0.860 0.508 0.144
64 O 0.159 0.684 0.756
65 O 0.646 0.506 0.918
66 O 0.686 0.525 0.520
67 O 0.794 0.819 0.916
68 O 0.642 0.169 0.427
69 O 0.025 0.819 0.416
70 O 0.181 0.205 0.411
71 O 0.667 0.161 0.746
72 O 0.844 0.538 0.744
73 Na 0.027 0.342 0.088
74 Na 0.665 0.314 0.833
75 Na 0.695 0.035 0.906
76 Na 0.315 0.342 0.588
77 Na 0.649 0.314 0.333
78 Na 0.340 0.035 0.406
79 Na 0.015 0.996 0.998
80 Na 0.635 0.004 0.254
81 Na 0.369 0.004 0.754
82 Na 0.662 0.952 0.580
83 Na 0.695 0.680 0.428
84 Na 0.985 0.680 0.928
85 Na 0.291 0.952 0.080
86 Na 0.331 0.660 0.165
87 Na 0.632 0.638 0.737
88 Na 0.982 0.996 0.498
89 Na 0.006 0.638 0.237
90 Na 0.329 0.660 0.665
91 S 0.620 0.658 0.916
92 S 0.367 0.333 0.084
93 S 0.038 0.658 0.416
94 S 0.360 0.035 0.584
95 S 0.009 0.293 0.248
96 S 0.284 0.293 0.748
97 S 0.675 0.035 0.084
98 S 0.966 0.333 0.584
99 S 0.331 0.383 0.415
100 S 0.702 0.706 0.252
101 S 0.052 0.383 0.915
102 S 0.005 0.706 0.752
103 Ga 0.686 0.337 0.486
104 Ga 0.971 0.969 0.651
105 Ga 0.998 0.969 0.151
106 Ga 0.356 0.697 0.820
107 Ga 0.651 0.337 0.986
108 Ga 0.340 0.697 0.320
109 Mg 0.328 0.674 0.018
110 Mg 0.346 0.674 0.518
111 Mg 0.655 0.330 0.185
112 Mg 0.005 0.011 0.852
113 Mg 0.674 0.330 0.685
114 Mg 0.006 0.011 0.352
115 Si 0.701 0.999 0.753
116 Si 0.671 0.622 0.584
117 Si 0.298 0.999 0.253
118 Si 0.951 0.622 0.084
119 Si 0.641 0.979 0.421
120 Si 0.338 0.979 0.921

***

First-principles (PBE) data for a relaxed structure of ThUBe26, as listed in Materials Project.

Calculated values
SG: F432, No. 209
Energy of formation (kJ per mole of atoms): -10.16
Magnetic moment (μB per formula unit): 0.11

Unit cell a=7.244 b=7.244 c=7.244 alpha=60.00 beta=60.00 gamma=60.00
Fractional coordinates of all 28 atoms:
1 Be 0.750 0.750 0.750
2 Be 0.538 0.957 0.192
3 Be 0.808 0.043 0.462
4 Be 0.687 0.462 0.043
5 Be 0.462 0.687 0.808
6 Be 0.192 0.538 0.957
7 Be 0.043 0.808 0.687
8 Be 0.192 0.313 0.538
9 Be 0.957 0.192 0.538
10 Be 0.462 0.808 0.043
11 Be 0.538 0.192 0.313
12 Be 0.957 0.538 0.313
13 Be 0.313 0.957 0.538
14 Be 0.687 0.043 0.808
15 Be 0.250 0.250 0.250
16 Be 0.043 0.687 0.462
17 Be 0.808 0.687 0.043
18 Be 0.538 0.313 0.957
19 Be 0.687 0.808 0.462
20 Be 0.462 0.043 0.687
21 Be 0.043 0.462 0.808
22 Be 0.808 0.462 0.687
23 Be 0.192 0.957 0.313
24 Be 0.313 0.538 0.192
25 Be 0.313 0.192 0.957
26 Be 0.957 0.313 0.192
27 Th 0.000 0.000 0.000
28 U 0.500 0.500 0.500

***

Q: energy of formation of number 1 (CrFeAs)?
A: -9.38 kJ per mole of atoms

***

Please write out number 2 again, unchanged.
First-principles (PBE) data for a relaxed structure of Ce3TaCl6O4, as listed in Materials Project.

Calculated values
SG: P6_3/m, No. 176
Energy of formation (kJ per mole of atoms): -271.70
Magnetic moment (μB per formula unit): 3.00

Unit cell a=3.962 b=12.980 c=12.980 alpha=120.00 beta=90.00 gamma=90.00
Fractional coordinates of all 28 atoms:
1 Cl 0.250 0.857 0.751
2 Cl 0.250 0.069 0.628
3 Cl 0.750 0.106 0.857
4 Cl 0.750 0.751 0.894
5 Cl 0.750 0.143 0.249
6 Cl 0.750 0.441 0.069
7 Cl 0.250 0.559 0.931
8 Cl 0.750 0.628 0.559
9 Cl 0.250 0.894 0.143
10 Cl 0.250 0.249 0.106
11 Cl 0.250 0.372 0.441
12 Cl 0.750 0.931 0.372
13 Ce 0.250 0.281 0.885
14 Ce 0.750 0.885 0.604
15 Ce 0.750 0.719 0.115
16 Ce 0.250 0.604 0.719
17 Ce 0.750 0.396 0.281
18 Ce 0.250 0.115 0.396
19 Ta 0.250 0.667 0.333
20 Ta 0.750 0.333 0.667
21 O 0.250 0.508 0.308
22 O 0.250 0.692 0.201
23 O 0.250 0.333 0.667
24 O 0.750 0.201 0.508
25 O 0.250 0.799 0.492
26 O 0.750 0.492 0.692
27 O 0.750 0.667 0.333
28 O 0.750 0.308 0.799